Run P
Compound: Li5Fe4P8O28
Source: Materials Project
Functional: PBE with a Hubbard U
Structure: optimized geometry

Results
Space-group type ... P1

The structure in POSCAR format:
```
Li5Fe4P8O28
1.0
-9.7057 0.0000 0.0000
0.0342 9.7648 0.0000
-0.0032 -2.2742 -10.8858
Li Fe P O
10 8 16 56
Cartesian
-5.5085 0.3684 -5.7931
-0.9462 1.1722 -10.4266
-3.9384 1.8698 -10.6490
-0.7588 2.2257 -5.0349
-9.2332 4.9073 -5.4830
-4.0472 6.0769 -10.4950
-8.4923 6.3021 -0.3966
-0.9005 6.7634 -10.6256
-3.8827 6.9741 -4.8761
-6.9157 7.3673 -5.9145
-0.7527 0.3920 -7.2744
-7.6105 0.5193 -9.0044
-2.7467 1.9821 -1.9691
-5.6220 2.2053 -3.4984
-4.0978 5.2665 -7.3289
-6.9288 5.4458 -9.0385
-2.1069 6.8754 -1.9095
-8.9510 7.1152 -3.4748
-5.3273 -1.5210 -8.1944
-2.8223 -0.8879 -9.6601
-0.7711 0.1566 -2.6732
-8.2719 0.2659 -4.5783
-3.4411 2.3426 -6.2987
-5.6050 2.4634 -8.2910
-9.2310 3.3288 -8.1954
-7.6208 3.5294 -1.2272
-2.0030 4.0008 -9.6447
-0.4168 4.1169 -2.7089
-4.0439 4.9892 -2.6391
-6.2523 5.1243 -4.5452
-1.3797 7.2175 -6.2857
-8.9133 7.3654 -8.2709
-6.8855 8.5473 -1.2428
-4.3472 9.0222 -2.6977
-5.6049 -1.2366 -6.7385
-1.5265 -1.0220 -6.2057
-8.8863 -0.8330 -8.0197
-3.9729 -0.7245 -8.5474
-6.3744 -0.9664 -9.1650
-1.6316 -0.1276 -9.0362
-3.2561 2.1864 -0.0482
-7.3077 0.1857 -1.0376
-9.0147 0.5870 -3.1878
-0.9982 0.5678 -1.2295
-4.4338 0.8402 -2.4823
-6.8819 0.8962 -4.4500
-1.7600 1.0468 -3.4790
-9.1555 0.8605 -5.6790
-4.2843 1.7422 -5.1801
-6.6914 1.6014 -7.5829
-2.0344 1.7329 -6.4569
-9.4225 1.7664 -8.4675
-4.1840 1.9670 -7.6790
-5.6045 2.0681 -9.7405
-2.2425 2.5507 -9.9689
-8.2327 0.6131 -10.8144
-6.4696 2.7238 -1.8418
-8.7798 3.3339 -2.3530
-3.9838 3.4255 -2.8834
-1.4621 3.5114 -1.7329
-6.3524 3.6161 -4.6747
-8.8822 3.6346 -6.7812
-0.6376 3.8685 -4.1729
-3.3434 3.8685 -6.2299
-8.3308 3.8769 -9.3045
-5.6656 3.9885 -7.9684
-0.9690 4.0342 -8.4156
-3.2282 4.7681 -9.0840
-1.3906 4.7923 -10.8338
-7.3847 4.9830 -1.0544
-3.9110 5.3756 -1.1978
-5.5114 5.4368 -3.1575
-0.2501 5.6417 -2.3793
-7.6359 5.8101 -4.4473
-3.0476 5.8019 -3.4786
-5.4278 5.8245 -5.6548
-0.5252 6.6225 -5.1639
-7.8196 6.6335 -7.4762
-2.7700 6.5803 -6.4555
-5.0620 6.7230 -8.4669
-8.9257 6.9250 -9.6998
-0.6351 6.8997 -7.6750
-2.5954 7.4168 -9.9207
-6.2165 7.8156 -0.0427
-8.0333 7.6119 -1.8197
-3.4679 8.4568 -1.5762
-5.8189 8.4410 -2.4798
-0.8041 8.3889 -2.9187
-8.1079 8.4963 -4.6900
-4.0035 8.6690 -4.1112
```

=====

Run Q
Compound: Li5Fe4P8O28
Source: Materials Project
Functional: PBE with a Hubbard U
Structure: optimized geometry

Results
Space-group type ... P1

The structure in POSCAR format:
```
Li5Fe4P8O28
1.0
9.7643 0.0000 0.0000
0.0032 9.8061 0.0000
2.2274 0.0066 10.8691
Li Fe P O
10 8 16 56
Cartesian
2.4111 2.8135 5.9625
3.0456 8.7426 10.5852
4.0519 3.8394 0.2990
4.7835 7.7874 4.9393
7.8985 5.9383 10.5238
8.4585 4.0412 0.5051
8.4220 8.9391 10.3520
8.9617 1.0397 0.3350
9.2346 4.0508 5.9761
9.6683 7.0324 4.9400
2.7811 0.7737 3.5875
2.8349 7.7834 1.9283
4.3260 2.8436 8.9336
4.3532 5.6646 7.2812
7.5916 4.1179 3.5395
7.7407 7.0149 1.8938
9.0936 2.1000 8.9734
9.2127 9.1286 7.2594
0.7855 5.3891 2.7205
1.4285 2.8350 1.2660
2.2846 0.7274 8.2852
2.4899 8.3709 6.2488
4.6349 3.4761 4.6201
4.8184 5.6267 2.5955
5.6798 9.2853 2.6363
5.6820 7.7494 9.5928
6.2716 2.0174 1.2737
6.2841 0.5097 8.0918
7.1796 4.1864 8.2382
7.3521 6.3746 6.2556
9.5260 1.4440 4.6525
9.7140 9.0845 2.6352
10.5771 6.9587 9.5774
11.2291 4.4078 8.2548
0.9741 5.6246 4.1816
1.3027 1.5606 4.7579
1.5032 9.0013 2.8946
1.5678 4.0328 2.3343
1.4048 6.4589 1.7873
2.1532 1.6773 1.9449
4.4054 3.3152 10.8410
2.2332 7.2597 9.8939
2.8097 9.1969 7.5894
2.6270 0.6269 9.7465
3.0301 4.5535 8.4384
3.2028 7.0298 6.4482
3.0760 1.9139 7.6739
3.1264 9.1082 5.0718
3.9961 4.2068 5.8048
4.0393 6.8217 3.2045
3.9240 2.1336 4.4340
4.0970 9.4528 2.4305
4.2566 4.3030 3.2816
4.4976 5.5326 1.1300
4.8573 2.3429 0.9721
2.6943 8.1978 0.0239
4.9692 6.5753 8.9156
5.5302 8.9413 8.5423
5.6359 4.0680 7.9559
5.7272 1.5519 9.1179
5.8308 6.4640 6.0853
6.0408 8.7948 3.9916
5.9877 0.7588 6.6720
6.1578 3.4025 4.6444
6.2397 8.4715 1.4529
6.3439 5.6946 2.9104
6.3147 0.9586 2.4894
7.1330 3.1988 1.8304
7.0365 1.3813 0.0609
7.1358 7.5390 9.9032
7.4862 4.2264 9.7105
7.5904 5.6340 7.6674
7.8189 0.2827 8.4802
8.0746 7.7057 6.4074
8.0592 3.1705 7.5098
8.0619 5.5077 5.1899
8.9192 0.6443 5.7837
8.9656 7.9395 3.3178
8.9073 2.8419 4.4428
9.0280 5.1531 2.3310
9.3700 9.1637 1.1740
9.2392 0.6730 3.2680
9.7349 2.6274 0.9735
9.8153 6.2987 10.7799
9.7349 8.1274 8.9948
10.6465 3.5674 9.3950
10.5657 5.8717 8.3603
10.5321 0.8227 7.9758
10.7245 8.2387 6.1766
10.8836 3.9376 6.8633
```

=====

Which of them is the most stable? Correct choice: run Q.

=====

Run P
Compound: Li3Fe5P6O24
Source: Materials Project
Functional: PBE with a Hubbard U
Structure: optimized geometry

Results
Space-group type ... C2/c

The structure in POSCAR format:
```
Li3Fe5P6O24
1.0
-4.6120 3.4721 -2.6990
-8.2362 -12.2080 5.8920
-1.2136 5.3253 9.4601
Li Fe P O
6 10 12 48
Cartesian
-7.4793 -5.8491 7.8347
-0.9366 0.7024 2.6378
-8.4704 -6.7289 3.5064
-5.5914 3.3184 9.1466
-13.1252 -4.1129 10.0152
-6.5824 2.4386 4.8183
-8.4043 -9.8843 5.4948
-4.1181 -6.1040 2.9460
-4.9525 -0.0214 8.8368
-4.2315 -2.5706 4.0576
-2.9027 2.8727 5.2497
-7.0309 -1.7053 6.3265
-11.1591 -6.2832 7.4033
-9.8303 -0.8399 8.5954
-9.1093 -3.3891 3.8162
-5.6575 6.4738 7.1582
-9.2103 -8.8099 8.4918
-3.6746 1.7010 11.1578
-6.8448 -1.9011 9.6522
-6.1948 -4.5208 4.9035
-4.3995 0.0750 5.7269
-2.7603 4.8891 7.8380
-11.3014 -8.2997 4.8150
-9.6623 -3.4855 6.9261
-7.8670 1.1102 7.7495
-7.2170 -1.5095 3.0008
-10.3872 -5.1115 1.4952
-4.8515 5.3994 4.1612
-7.8345 -8.5881 9.1533
-9.1726 -9.8491 7.3173
-10.0370 -6.0997 13.8758
-7.3149 -8.7093 4.3921
-5.6078 -7.2504 3.4345
-6.5128 -3.2963 10.1744
-6.0006 -5.6595 5.9232
-9.6638 -7.4265 8.0117
-6.1078 -0.7373 10.4580
-5.2009 -4.5271 3.6758
-3.0411 -2.4353 2.4908
-4.3975 1.6586 9.7759
-3.8327 -0.0377 7.1760
-3.5807 -0.8770 4.8310
-6.1587 -1.6512 8.2331
-5.7924 -3.1275 5.5296
-9.8099 -8.6519 4.8477
-2.5916 3.9120 9.0197
-8.3542 -1.6754 9.6373
-7.6561 -4.6407 4.4298
-8.1549 -3.1552 6.9642
-2.2729 4.2967 6.4698
-9.7335 -4.9600 7.4223
-1.9551 2.6896 3.5817
-12.1067 -6.1001 9.0713
-4.3283 1.5495 5.2307
-11.7889 -7.7072 6.1832
-5.9069 -0.2554 5.6888
-6.4057 1.2302 8.2232
-5.7076 -1.7351 3.0157
-11.4702 -7.3225 3.6333
-4.2519 5.2414 7.8053
-8.2694 -0.2830 7.1234
-7.9031 -1.7593 4.4199
-10.4811 -2.5335 7.8220
-10.2291 -3.3728 5.4770
-9.6643 -5.0691 2.8771
-11.0207 -0.9752 10.1622
-8.8609 1.1166 8.9772
-7.9540 -2.6732 2.1950
-4.3980 4.0160 4.6413
-8.0612 2.2490 6.7298
-7.5490 -0.1143 2.4786
-8.4540 3.8399 9.2185
-6.7469 5.2988 8.2609
-4.0248 2.6892 -1.2227
-4.8892 6.4386 5.3357
-6.2273 5.1776 3.4997
```

=====

Run Q
Compound: Li3Fe5P6O24
Source: Materials Project
Functional: PBE with a Hubbard U
Structure: optimized geometry

Results
Space-group type ... P1

The structure in POSCAR format:
```
Li3Fe5P6O24
1.0
-2.1397 1.5184 -7.5142
-3.2993 -7.3832 2.2805
-3.6732 5.9634 5.4195
Li Fe P O
3 5 6 24
Cartesian
-4.4249 -3.6401 1.0576
-1.7074 0.6780 -5.1612
-2.8505 1.4899 2.9023
-5.7940 4.1881 -0.9739
-4.0118 -2.1083 -1.5135
-3.8728 -6.7048 0.7424
-5.1235 1.3192 1.0522
-6.0582 -0.8762 -3.4870
-4.5482 -3.7733 -4.2369
-3.8466 1.3494 -2.0553
-6.5809 -1.4565 -0.2498
-3.8183 4.2699 1.6926
-5.7767 1.1754 4.3426
-2.5766 -1.2015 1.2377
-6.7903 -0.9717 -1.6951
-4.5957 1.9119 -0.7917
-4.9643 -2.5321 -3.2966
-4.3164 -0.1499 -2.3654
-4.5806 5.2892 -2.0234
-2.3189 1.3155 -1.7024
-6.7442 2.5256 0.7550
-4.0808 2.2290 -3.2363
-4.2121 4.9290 3.0448
-3.9137 2.7495 1.8527
-5.4496 -2.5399 -0.2725
-3.3565 -3.8916 -1.1247
-6.2060 -0.1710 4.9674
-3.2514 -0.1287 -5.9725
-4.8420 4.7638 0.6351
-5.7074 -2.7735 3.4250
-2.7764 -1.4247 -0.2861
-4.6923 -5.0349 -3.4707
-5.2116 0.8434 2.9654
-4.6836 1.8361 5.2171
-6.0933 -0.2976 0.6299
-3.3665 -5.2528 2.0360
-3.4923 -2.1489 2.0969
-2.9039 0.2576 1.4925
```

=====

Which of them is the most stable? Correct choice: run P.

=====

Run P
Compound: Li4FeP6O18
Source: Materials Project
Functional: PBE with a Hubbard U
Structure: optimized geometry

Results
Space-group type ... C2/c

The structure in POSCAR format:
```
Li4FeP6O18
1.0
3.8933 6.2529 0.0000
-3.8933 6.2529 0.0000
0.0000 0.8813 13.9315
Li Fe P O
8 2 12 36
Cartesian
1.0092 11.2038 12.8552
-1.0092 10.7632 5.8894
0.8882 8.8628 7.6201
-0.8882 8.4221 0.6543
0.8882 4.9650 13.2772
-0.8882 4.5243 6.3115
1.0092 2.6240 8.0421
-1.0092 2.1833 1.0763
-0.9836 6.9139 10.4486
0.9836 6.4732 3.4829
0.4396 11.8980 8.5569
-0.4396 11.4574 1.5911
-1.0762 10.2713 10.4594
1.0762 9.8307 3.4937
1.4388 8.0989 12.3879
-1.4388 7.6583 5.4221
1.4388 5.7288 8.5094
-1.4388 5.2882 1.5436
-1.0762 3.5564 10.4379
1.0762 3.1158 3.4721
0.4396 1.9297 12.3404
-0.4396 1.4891 5.3747
0.2004 11.1344 9.9530
0.6366 10.9060 7.4437
-0.2004 10.6938 2.9872
-0.6366 10.4653 0.4780
-1.0565 10.3327 11.9461
1.0565 9.8921 4.9803
1.1971 9.0792 13.5063
-1.1211 8.9599 9.7141
1.5979 8.8831 10.9827
-1.1971 8.6385 6.5405
1.1211 8.5193 2.7483
-1.5979 8.4425 4.0169
2.9084 7.4271 12.5474
-2.4513 7.0980 12.0730
0.4848 6.9657 12.1310
-2.9084 6.9865 5.5817
0.4848 6.8621 8.7663
2.4513 6.6573 5.1072
-2.4513 6.7298 8.8243
-0.4848 6.5250 5.1652
2.9084 6.4006 8.3499
-0.4848 6.4215 1.8006
2.4513 6.2891 1.8586
-2.9084 5.9600 1.3841
1.5979 4.9446 9.9146
-1.1211 4.8678 11.1832
1.1971 4.7486 7.3910
-1.5979 4.5040 2.9489
1.1211 4.4272 4.2174
-1.1971 4.3079 0.4253
-1.0565 3.4950 8.9512
1.0565 3.0544 1.9855
0.6366 2.9218 13.4536
0.2004 2.6933 10.9443
-0.6366 2.4811 6.4878
-0.2004 2.2527 3.9786
```

=====

Run Q
Compound: Li4FeP6O18
Source: Materials Project
Functional: PBE with a Hubbard U
Structure: optimized geometry

Results
Space-group type ... P1

The structure in POSCAR format:
```
Li4FeP6O18
1.0
7.3237 0.0000 0.0000
-2.9993 6.9333 0.0000
-1.2648 -2.9363 6.9167
Li Fe P O
4 1 6 18
Cartesian
0.4053 -2.0100 6.0666
2.1825 0.5447 5.8436
2.7711 -1.5795 3.7927
0.8664 3.4322 0.9715
2.7691 6.0448 1.0142
5.3000 -0.1197 5.3864
-0.6086 2.4069 5.4094
0.0919 0.3836 3.4557
2.8929 3.5854 3.3877
3.7145 1.6428 1.4283
-2.1881 4.1199 1.6457
-1.1572 -0.7536 6.4362
0.3994 1.9473 6.4581
-1.9446 1.5073 5.5793
3.8602 -0.4776 5.2031
1.2514 -0.2235 4.2031
-1.3069 -0.2762 3.9447
-1.0036 3.8410 5.3138
2.6900 3.5784 4.8498
-0.0769 1.9299 3.9435
3.1191 2.0339 2.8794
0.0182 0.3310 1.9597
4.1647 0.2145 1.4834
4.3759 4.2145 3.0667
1.9336 4.2749 2.4312
-0.7640 4.4985 1.8597
5.0635 2.5314 1.3520
2.7422 2.0825 0.3672
4.3008 4.7848 0.5598
```

=====

Which of them is the most stable? Correct choice: run Q.